# 1
The following is a DFT calculation (PBE-GGA) of an optimized crystal structure of RbTaO3.

The structure in POSCAR format:
```
RbTaO3
1.0
4.071 0.000 0.000
0.000 4.071 0.000
0.000 0.000 4.071
Rb Ta O
1 1 3
direct
0.000 0.000 0.000
0.500 0.500 0.500
0.000 0.500 0.500
0.500 0.000 0.500
0.500 0.500 0.000
```

Summary:
The space group is No. 221. The value obtained for the magnetization is 0.0 μB per formula unit. As for the crystal system: cubic. The calculation puts the total DFT energy (no corrections) at -40.5 eV per cell.

# 2
The following is a DFT calculation (PBE-GGA) of an optimized crystal structure of Si2NCl5.

The structure in POSCAR format:
```
Si2NCl5
1.0
6.818 0.000 0.000
0.000 13.450 0.000
-4.427 0.000 10.842
Si N Cl
8 4 20
direct
0.058 0.087 0.492
0.058 0.413 0.992
0.276 0.502 0.262
0.276 0.998 0.762
0.724 0.002 0.238
0.724 0.498 0.738
0.942 0.587 0.008
0.942 0.913 0.508
0.124 0.504 0.108
0.124 0.996 0.608
0.876 0.004 0.392
0.876 0.496 0.892
0.069 0.713 0.968
0.069 0.787 0.468
0.098 0.025 0.865
0.098 0.475 0.365
0.293 0.128 0.436
0.293 0.372 0.936
0.422 0.636 0.316
0.422 0.864 0.816
0.498 0.108 0.796
0.498 0.392 0.296
0.502 0.608 0.704
0.502 0.892 0.204
0.578 0.136 0.184
0.578 0.364 0.684
0.707 0.628 0.064
0.707 0.872 0.564
0.902 0.525 0.635
0.902 0.975 0.135
0.931 0.213 0.532
0.931 0.287 0.032
```

Summary:
The space group is No. 14. As for the crystal system: monoclinic. The calculation puts the total DFT energy (no corrections) at -152.4 eV per cell.

# 3
The following is a DFT calculation (PBE-GGA) of an optimized crystal structure of UH2O4.

The structure in POSCAR format:
```
UH2O4
1.0
2.128 -5.204 0.000
2.128 5.204 0.000
0.000 0.000 6.953
U H O
2 4 8
direct
0.000 0.000 0.000
0.500 0.500 0.500
0.164 0.836 0.634
0.336 0.664 0.134
0.664 0.336 0.866
0.836 0.164 0.366
0.069 0.931 0.648
0.163 0.837 0.095
0.337 0.663 0.595
0.431 0.569 0.148
0.569 0.431 0.852
0.663 0.337 0.405
0.837 0.163 0.905
0.931 0.069 0.352
```

Summary:
The space group is No. 64. The value obtained for the magnetization is 0.0 μB per formula unit. As for the crystal system: orthorhombic. The calculation puts the total DFT energy (no corrections) at -105.8 eV per cell. For the relative energy among the computed polymorphs, the calculation gives 0.038 eV/atom.

# 4
The following is a DFT calculation (PBE-GGA) of an optimized crystal structure of Na3TaInSi2PO12.

The structure in POSCAR format:
```
Na3TaInSi2PO12
1.0
-4.637 5.610 -5.496
-3.758 -2.845 7.808
8.783 17.591 10.853
Na Ta In Si P O
18 6 6 12 6 72
direct
0.993 0.991 0.494
0.009 0.007 0.994
0.660 0.325 0.827
0.675 0.340 0.327
0.326 0.658 0.160
0.342 0.674 0.660
0.655 0.016 0.250
0.980 0.621 0.247
0.984 0.345 0.750
0.379 0.020 0.747
0.321 0.350 0.584
0.647 0.955 0.580
0.650 0.679 0.084
0.045 0.353 0.080
0.988 0.683 0.917
0.313 0.288 0.914
0.317 0.012 0.417
0.712 0.687 0.414
0.997 0.996 0.646
0.004 0.003 0.146
0.663 0.329 0.980
0.671 0.337 0.480
0.330 0.662 0.313
0.338 0.670 0.813
0.997 0.003 0.350
0.997 0.003 0.850
0.664 0.337 0.684
0.663 0.336 0.184
0.330 0.670 0.017
0.330 0.670 0.517
0.701 0.704 0.252
0.004 0.297 0.249
0.296 0.299 0.752
0.703 0.996 0.749
0.368 0.038 0.585
0.671 0.630 0.582
0.962 0.632 0.085
0.370 0.329 0.082
0.035 0.371 0.918
0.337 0.963 0.915
0.629 0.965 0.418
0.037 0.663 0.415
0.291 0.994 0.252
0.006 0.709 0.752
0.958 0.327 0.586
0.673 0.042 0.086
0.624 0.661 0.919
0.339 0.376 0.419
0.223 0.020 0.311
0.812 0.779 0.311
0.966 0.178 0.306
0.221 0.188 0.811
0.980 0.777 0.811
0.822 0.034 0.806
0.800 0.972 0.689
0.163 0.193 0.694
0.023 0.832 0.699
0.807 0.837 0.194
0.028 0.200 0.189
0.168 0.977 0.199
0.890 0.353 0.644
0.479 0.113 0.645
0.632 0.511 0.639
0.887 0.521 0.145
0.647 0.110 0.144
0.489 0.368 0.139
0.467 0.306 0.022
0.830 0.527 0.027
0.690 0.165 0.032
0.473 0.170 0.527
0.694 0.533 0.522
0.835 0.310 0.532
0.557 0.686 0.977
0.145 0.446 0.978
0.299 0.845 0.972
0.554 0.855 0.478
0.314 0.443 0.477
0.155 0.701 0.472
0.134 0.639 0.356
0.496 0.860 0.360
0.357 0.498 0.366
0.140 0.504 0.860
0.361 0.866 0.856
0.502 0.643 0.866
0.013 0.828 0.411
0.815 0.988 0.413
0.200 0.193 0.410
0.012 0.185 0.913
0.172 0.987 0.911
0.807 0.800 0.910
0.955 0.153 0.587
0.187 0.041 0.590
0.844 0.819 0.589
0.959 0.813 0.090
0.847 0.045 0.087
0.181 0.156 0.089
0.680 0.161 0.745
0.482 0.322 0.746
0.867 0.526 0.744
0.678 0.518 0.246
0.839 0.320 0.245
0.474 0.133 0.244
0.621 0.486 0.920
0.853 0.374 0.923
0.511 0.152 0.922
0.626 0.147 0.423
0.514 0.379 0.420
0.848 0.489 0.422
0.346 0.494 0.078
0.148 0.655 0.080
0.534 0.859 0.077
0.345 0.852 0.580
0.506 0.654 0.578
0.141 0.466 0.577
0.288 0.819 0.253
0.520 0.708 0.256
0.177 0.485 0.255
0.292 0.480 0.756
0.181 0.712 0.753
0.515 0.823 0.755
```

Summary:
The value obtained for the magnetization is 0.0 μB per formula unit. The calculation puts the total DFT energy (no corrections) at -849.8 eV per cell. For the relative energy among the computed polymorphs, the calculation gives 0.002 eV/atom.

Number 1: formation energy -14.89 eV per formula unit. Number 2: formation energy -12.73 eV per formula unit. Number 3: formation energy -17.77 eV per formula unit. Number 4: formation energy -55.66 eV per formula unit.